Compound: MgCrNiP2O9
Source: the Materials Project
Functional: PBE with a Hubbard U
Structure: optimized geometry

The structure belongs to space group Pnma (No. 62); the cell edges are 14.053, 6.274 and 7.427 Å and the angles 90.00°, 90.00° and 90.00°. The distinct sites, in fractional coordinates, are Mg at (0.224, 0.250, 0.072), Cr at (0.117, 0.250, 0.643), Ni at (0.000, 0.000, 0.000), P at (0.068, 0.750, 0.646), P at (0.196, 0.750, 0.115), O at (0.011, 0.250, 0.494), O at (0.023, 0.750, 0.836), O at (0.056, 0.250, 0.852), O at (0.138, 0.562, 0.624), O at (0.139, 0.538, 0.111), O at (0.226, 0.250, 0.468) and O at (0.240, 0.250, 0.791).

Its energy of formation is -2.448 eV/atom. The calculation puts the energy at -0.252 Ha/atom. The value obtained for the density is 3.5 g/cm3.